{"formula": "Al4H12C15O31", "functional": "PBE", "state": "relaxed", "delta_e_f_ev_per_atom": -1.58, "magmom_total_mub_per_atom": 0.0322, "energy_mp2020_ev_per_atom": -7.18, "lattice_angstrom": [[-1.854, -4.920, 8.533], [-8.596, 3.522, -3.762], [4.228, -6.242, -6.604]], "species": ["H", "O", "H", "O", "C", "H", "H", "C", "O", "O", "C", "C", "Al", "H", "O", "O", "Al", "O", "O", "O", "C", "C", "O", "H", "H", "H", "C", "C", "O", "O", "O", "O", "C", "O", "O", "O", "O", "H", "O", "O", "C", "O", "O", "O", "Al", "O", "C", "O", "O", "O", "O", "C", "H", "H", "Al", "C", "O", "O", "O", "H", "C", "C"], "fractional_positions": [[0.669, 0.459, 0.789], [0.102, 0.500, 0.602], [0.880, 0.211, 0.669], [0.893, 0.084, 0.382], [0.259, 0.248, 0.507], [0.211, 0.331, 0.541], [0.211, 0.669, 0.880], [0.493, 0.741, 0.752], [0.618, 0.107, 0.916], [0.084, 0.190, 0.702], [0.741, 0.248, 0.990], [0.010, 0.259, 0.752], [0.000, 0.000, 0.500], [0.541, 0.211, 0.331], [0.107, 0.488, 0.190], [0.512, 0.810, 0.893], [0.500, 0.500, 0.500], [0.382, 0.893, 0.084], [0.107, 0.916, 0.618], [0.500, 0.602, 0.102], [0.000, 0.500, 0.500], [0.507, 0.259, 0.248], [0.190, 0.702, 0.084], [0.789, 0.669, 0.459], [0.331, 0.120, 0.789], [0.789, 0.331, 0.120], [0.248, 0.507, 0.259], [0.500, 0.000, 0.500], [0.512, 0.618, 0.702], [0.084, 0.382, 0.893], [0.500, 0.398, 0.898], [0.488, 0.190, 0.107], [0.990, 0.741, 0.248], [0.298, 0.488, 0.382], [0.602, 0.102, 0.500], [0.488, 0.382, 0.298], [0.398, 0.898, 0.500], [0.331, 0.541, 0.211], [0.618, 0.702, 0.512], [0.916, 0.810, 0.298], [0.500, 0.500, 0.000], [0.382, 0.298, 0.488], [0.810, 0.893, 0.512], [0.893, 0.512, 0.810], [0.500, 0.000, 0.000], [0.898, 0.500, 0.398], [0.741, 0.752, 0.493], [0.702, 0.084, 0.190], [0.298, 0.916, 0.810], [0.916, 0.618, 0.107], [0.810, 0.298, 0.916], [0.752, 0.493, 0.741], [0.669, 0.880, 0.211], [0.120, 0.789, 0.331], [0.000, 0.500, 0.000], [0.752, 0.010, 0.259], [0.000, 0.000, 0.000], [0.190, 0.107, 0.488], [0.702, 0.512, 0.618], [0.459, 0.789, 0.669], [0.248, 0.990, 0.741], [0.259, 0.752, 0.010]]}

---

{"formula": "Al2HPbC2O10", "functional": "PBE", "state": "relaxed", "delta_e_f_ev_per_atom": -1.60, "magmom_total_mub_per_atom": 0.3064, "energy_mp2020_ev_per_atom": -6.76, "lattice_angstrom": [[5.922, 0.000, 0.000], [0.000, 8.847, 0.000], [0.000, 0.000, 16.464]], "species": ["O", "O", "O", "O", "O", "O", "Al", "O", "O", "H", "C", "O", "O", "O", "H", "O", "O", "Pb", "C", "O", "C", "Al", "Pb", "O", "Pb", "O", "O", "O", "O", "C", "O", "Pb", "Al", "C", "O", "O", "O", "O", "O", "O", "O", "O", "O", "O", "C", "O", "Al", "H", "O", "O", "O", "H", "O", "Al", "Al", "O", "O", "O", "C", "C", "Al", "Al", "O", "O"], "fractional_positions": [[0.250, 0.051, 0.335], [0.442, 0.729, 0.088], [0.442, 0.771, 0.588], [0.058, 0.729, 0.088], [0.558, 0.271, 0.912], [0.943, 0.901, 0.814], [0.004, 0.160, 0.299], [0.557, 0.599, 0.314], [0.057, 0.099, 0.186], [0.250, 0.109, 0.541], [0.250, 0.419, 0.648], [0.942, 0.271, 0.912], [0.942, 0.229, 0.412], [0.058, 0.771, 0.588], [0.750, 0.609, 0.959], [0.250, 0.457, 0.574], [0.750, 0.707, 0.701], [0.250, 0.018, 0.904], [0.750, 0.581, 0.352], [0.250, 0.759, 0.973], [0.750, 0.261, 0.950], [0.996, 0.660, 0.201], [0.750, 0.982, 0.096], [0.557, 0.901, 0.814], [0.250, 0.482, 0.404], [0.250, 0.729, 0.733], [0.943, 0.599, 0.314], [0.750, 0.551, 0.165], [0.250, 0.537, 0.197], [0.750, 0.919, 0.852], [0.057, 0.401, 0.686], [0.750, 0.518, 0.596], [0.496, 0.160, 0.299], [0.750, 0.239, 0.450], [0.750, 0.543, 0.426], [0.250, 0.771, 0.233], [0.443, 0.401, 0.686], [0.750, 0.463, 0.803], [0.750, 0.957, 0.926], [0.750, 0.241, 0.027], [0.750, 0.037, 0.303], [0.250, 0.741, 0.473], [0.750, 0.793, 0.201], [0.250, 0.043, 0.074], [0.250, 0.739, 0.050], [0.750, 0.259, 0.527], [0.504, 0.660, 0.201], [0.250, 0.391, 0.041], [0.250, 0.293, 0.299], [0.250, 0.449, 0.835], [0.250, 0.963, 0.697], [0.750, 0.891, 0.459], [0.750, 0.271, 0.267], [0.996, 0.840, 0.701], [0.504, 0.840, 0.701], [0.443, 0.099, 0.186], [0.558, 0.229, 0.412], [0.250, 0.207, 0.799], [0.250, 0.081, 0.148], [0.250, 0.761, 0.550], [0.496, 0.340, 0.799], [0.004, 0.340, 0.799], [0.750, 0.229, 0.767], [0.750, 0.949, 0.665]]}

---

{"formula": "AlH21C3S3O15", "functional": "PBE", "state": "relaxed", "delta_e_f_ev_per_atom": -1.24, "magmom_total_mub_per_atom": 0.0024, "energy_mp2020_ev_per_atom": -5.64, "lattice_angstrom": [[-4.594, -3.982, -2.416], [2.360, -10.601, 12.985], [-9.781, 2.178, 15.011]], "species": ["O", "O", "H", "O", "H", "O", "H", "H", "C", "H", "H", "O", "O", "H", "O", "O", "H", "H", "H", "H", "H", "H", "S", "H", "O", "H", "O", "H", "H", "H", "O", "O", "H", "H", "H", "H", "C", "H", "H", "H", "O", "O", "O", "H", "O", "C", "H", "O", "S", "C", "H", "S", "H", "C", "C", "H", "O", "O", "S", "O", "H", "H", "H", "H", "O", "O", "O", "H", "O", "Al", "O", "O", "O", "O", "S", "H", "H", "S", "H", "H", "S", "O", "O", "O", "O", "S", "O", "O", "Al", "Al", "H", "H", "O", "H", "H", "H", "S", "H", "O", "O", "H", "C", "H", "H", "H", "S", "H", "O", "O", "H", "O", "H", "O", "H", "H", "O", "O", "O", "H", "O", "H", "H", "H", "O", "H", "H", "O", "O", "H", "H", "O", "O", "H", "S", "H", "O", "H", "H", "O", "C", "O", "H", "O", "H", "H", "S", "H", "H", "O", "H", "H", "O", "H", "H", "C", "H", "H", "H", "O", "C", "H", "H", "H", "H", "H", "C", "O", "Al", "C", "H", "O", "O"], "fractional_positions": [[0.016, 0.543, 0.338], [0.017, 0.759, 0.764], [0.276, 0.890, 0.829], [0.259, 0.417, 0.395], [0.266, 0.178, 0.500], [0.091, 0.200, 0.982], [0.989, 0.761, 0.274], [0.845, 0.794, 0.687], [0.083, 0.604, 0.522], [0.461, 0.225, 0.519], [0.155, 0.206, 0.313], [0.767, 0.252, 0.396], [0.516, 0.457, 0.162], [0.146, 0.369, 0.848], [0.799, 0.748, 0.340], [0.792, 0.010, 0.583], [0.886, 0.002, 0.743], [0.754, 0.411, 0.465], [0.263, 0.763, 0.749], [0.618, 0.578, 0.464], [0.401, 0.587, 0.398], [0.354, 0.369, 0.348], [0.024, 0.949, 0.400], [0.655, 0.794, 0.187], [0.983, 0.241, 0.236], [0.599, 0.413, 0.602], [0.292, 0.990, 0.917], [0.776, 0.110, 0.671], [0.854, 0.631, 0.152], [0.039, 0.384, 0.760], [0.897, 0.094, 0.935], [0.759, 0.583, 0.105], [0.724, 0.110, 0.171], [0.539, 0.616, 0.740], [0.099, 0.587, 0.898], [0.646, 0.631, 0.652], [0.587, 0.068, 0.187], [0.236, 0.107, 0.382], [0.734, 0.822, 0.500], [0.746, 0.411, 0.965], [0.655, 0.008, 0.875], [0.908, 0.226, 0.771], [0.267, 0.748, 0.104], [0.839, 0.066, 0.993], [0.017, 0.143, 0.527], [0.938, 0.606, 0.899], [0.185, 0.932, 0.095], [0.251, 0.172, 0.363], [0.581, 0.725, 0.349], [0.413, 0.932, 0.813], [0.264, 0.107, 0.882], [0.542, 0.555, 0.123], [0.458, 0.102, 0.198], [0.583, 0.396, 0.978], [0.917, 0.396, 0.478], [0.022, 0.576, 0.483], [0.751, 0.828, 0.137], [0.919, 0.663, 0.181], [0.524, 0.051, 0.100], [0.408, 0.774, 0.729], [0.358, 0.791, 0.057], [0.978, 0.424, 0.517], [0.511, 0.761, 0.774], [0.328, 0.685, 0.131], [0.345, 0.992, 0.125], [0.438, 0.593, 0.171], [0.749, 0.828, 0.637], [0.672, 0.315, 0.869], [0.983, 0.857, 0.473], [0.009, 0.783, 0.124], [0.062, 0.593, 0.671], [0.845, 0.008, 0.375], [0.701, 0.748, 0.840], [0.517, 0.857, 0.973], [0.081, 0.275, 0.151], [0.655, 0.583, 0.362], [0.614, 0.002, 0.243], [0.919, 0.725, 0.849], [0.882, 0.578, 0.964], [0.057, 0.677, 0.490], [0.458, 0.445, 0.877], [0.591, 0.800, 0.518], [0.909, 0.800, 0.018], [0.201, 0.252, 0.660], [0.517, 0.241, 0.736], [0.976, 0.051, 0.600], [0.733, 0.252, 0.896], [0.581, 0.663, 0.681], [0.509, 0.217, 0.376], [0.991, 0.217, 0.876], [0.489, 0.239, 0.226], [0.766, 0.822, 0.000], [0.233, 0.748, 0.604], [0.339, 0.934, 0.507], [0.815, 0.068, 0.905], [0.039, 0.225, 0.019], [0.419, 0.275, 0.651], [0.461, 0.384, 0.260], [0.241, 0.417, 0.895], [0.483, 0.759, 0.264], [0.224, 0.890, 0.329], [0.913, 0.068, 0.687], [0.943, 0.323, 0.510], [0.345, 0.206, 0.813], [0.961, 0.616, 0.240], [0.958, 0.555, 0.623], [0.345, 0.417, 0.638], [0.603, 0.094, 0.435], [0.984, 0.457, 0.662], [0.234, 0.178, 0.000], [0.208, 0.990, 0.417], [0.858, 0.209, 0.443], [0.397, 0.906, 0.565], [0.539, 0.775, 0.481], [0.382, 0.422, 0.536], [0.155, 0.992, 0.625], [0.741, 0.583, 0.605], [0.592, 0.226, 0.271], [0.161, 0.934, 0.007], [0.562, 0.407, 0.829], [0.114, 0.998, 0.257], [0.155, 0.417, 0.138], [0.642, 0.209, 0.943], [0.409, 0.200, 0.482], [0.958, 0.898, 0.302], [0.254, 0.589, 0.035], [0.938, 0.407, 0.329], [0.249, 0.172, 0.863], [0.763, 0.237, 0.751], [0.315, 0.932, 0.595], [0.033, 0.754, 0.902], [0.967, 0.246, 0.098], [0.011, 0.239, 0.726], [0.476, 0.949, 0.900], [0.661, 0.066, 0.493], [0.533, 0.246, 0.598], [0.828, 0.315, 0.369], [0.542, 0.898, 0.802], [0.081, 0.337, 0.819], [0.562, 0.606, 0.399], [0.484, 0.543, 0.838], [0.736, 0.893, 0.118], [0.092, 0.774, 0.229], [0.386, 0.998, 0.757], [0.901, 0.413, 0.102], [0.042, 0.445, 0.377], [0.142, 0.791, 0.557], [0.737, 0.237, 0.251], [0.483, 0.143, 0.027], [0.522, 0.424, 0.017], [0.172, 0.685, 0.631], [0.299, 0.252, 0.160], [0.237, 0.763, 0.249], [0.557, 0.323, 0.010], [0.062, 0.394, 0.101], [0.443, 0.677, 0.990], [0.685, 0.068, 0.405], [0.764, 0.893, 0.618], [0.708, 0.010, 0.083], [0.417, 0.604, 0.022], [0.246, 0.589, 0.535], [0.118, 0.422, 0.036], [0.961, 0.775, 0.981], [0.042, 0.102, 0.698], [0.478, 0.576, 0.983], [0.438, 0.394, 0.601], [0.103, 0.906, 0.065], [0.491, 0.783, 0.624], [0.087, 0.932, 0.313], [0.845, 0.583, 0.862], [0.419, 0.337, 0.319], [0.467, 0.754, 0.402]]}

---

{"formula": "AlSiH11C3O", "functional": "PBE", "state": "relaxed", "delta_e_f_ev_per_atom": -0.47, "magmom_total_mub_per_atom": 0.0006, "energy_mp2020_ev_per_atom": -5.12, "lattice_angstrom": [[0.000, 8.345, 0.000], [2.092, 0.000, -10.096], [-10.146, -4.173, 0.000]], "species": ["H", "C", "H", "C", "O", "H", "H", "C", "H", "O", "H", "H", "H", "H", "H", "Al", "H", "H", "H", "H", "H", "H", "Al", "H", "H", "H", "H", "H", "H", "Al", "Si", "H", "H", "H", "C", "H", "Si", "C", "C", "Si", "C", "C", "H", "H", "H", "H", "Al", "C", "H", "H", "O", "H", "H", "H", "H", "H", "C", "H", "Si", "C", "H", "H", "C", "O", "H", "H", "H", "H"], "fractional_positions": [[0.995, 0.830, 0.310], [0.884, 0.786, 0.216], [0.607, 0.748, 0.358], [0.961, 0.517, 0.286], [0.520, 0.936, 0.901], [0.017, 0.494, 0.210], [0.403, 0.362, 0.193], [0.332, 0.286, 0.216], [0.932, 0.762, 0.135], [0.619, 0.564, 0.099], [0.393, 0.252, 0.642], [0.816, 0.722, 0.475], [0.790, 0.862, 0.193], [0.315, 0.330, 0.310], [0.184, 0.278, 0.525], [0.392, 0.888, 0.993], [0.983, 0.506, 0.790], [0.186, 0.895, 0.929], [0.814, 0.105, 0.071], [0.745, 0.089, 0.397], [0.203, 0.262, 0.135], [0.685, 0.670, 0.690], [0.608, 0.112, 0.007], [0.210, 0.138, 0.807], [0.248, 0.752, 0.642], [0.066, 0.566, 0.381], [0.597, 0.638, 0.807], [0.658, 0.222, 0.475], [0.638, 0.301, 0.113], [0.601, 0.388, 0.993], [0.788, 0.636, 0.242], [0.743, 0.395, 0.929], [0.362, 0.699, 0.887], [0.652, 0.589, 0.397], [0.673, 0.178, 0.380], [0.068, 0.238, 0.865], [0.454, 0.136, 0.242], [0.668, 0.714, 0.784], [0.327, 0.822, 0.620], [0.212, 0.364, 0.758], [0.039, 0.483, 0.714], [0.325, 0.017, 0.286], [0.005, 0.170, 0.690], [0.808, 0.006, 0.790], [0.613, 0.075, 0.699], [0.934, 0.434, 0.619], [0.399, 0.612, 0.007], [0.675, 0.983, 0.714], [0.086, 0.575, 0.699], [0.752, 0.248, 0.358], [0.381, 0.436, 0.901], [0.192, 0.994, 0.210], [0.315, 0.066, 0.381], [0.387, 0.925, 0.301], [0.255, 0.911, 0.603], [0.475, 0.801, 0.113], [0.707, 0.678, 0.380], [0.797, 0.738, 0.865], [0.546, 0.864, 0.758], [0.116, 0.214, 0.784], [0.525, 0.199, 0.887], [0.685, 0.934, 0.619], [0.293, 0.322, 0.620], [0.480, 0.064, 0.099], [0.348, 0.411, 0.603], [0.257, 0.605, 0.071], [0.342, 0.778, 0.525], [0.914, 0.425, 0.301]]}

---

{"formula": "Hf2Al3C4", "functional": "PBE", "state": "relaxed", "delta_e_f_ev_per_atom": -0.49, "lattice_angstrom": [[1.668, -2.888, 0.000], [1.668, 2.888, 0.000], [0.000, 0.000, 22.161]], "species": ["C", "Al", "Hf", "Hf", "C", "Hf", "C", "C", "C", "Al", "C", "Al", "C", "C", "Al", "Hf", "Al", "Al"], "fractional_positions": [[0.333, 0.667, 0.127], [0.000, 0.000, 0.342], [0.333, 0.667, 0.558], [0.333, 0.667, 0.942], [0.000, 0.000, 0.750], [0.667, 0.333, 0.058], [0.333, 0.667, 0.373], [0.667, 0.333, 0.627], [0.000, 0.000, 0.000], [0.000, 0.000, 0.842], [0.667, 0.333, 0.873], [0.333, 0.667, 0.250], [0.000, 0.000, 0.250], [0.000, 0.000, 0.500], [0.000, 0.000, 0.158], [0.667, 0.333, 0.442], [0.667, 0.333, 0.750], [0.000, 0.000, 0.658]]}

---

{"formula": "Hf2Al4C5", "functional": "PBE", "state": "relaxed", "delta_e_f_ev_per_atom": -0.39, "magmom_total_mub_per_atom": 0.0000, "lattice_angstrom": [[-7.891, -10.887, 2.882], [-5.315, -11.726, 4.832], [-7.695, -9.694, 5.993]], "species": ["Al", "Hf", "Al", "C", "Hf", "Al", "C", "Al", "C", "C", "C"], "fractional_positions": [[0.189, 0.189, 0.189], [0.634, 0.634, 0.634], [0.912, 0.912, 0.912], [0.000, 0.000, 0.000], [0.366, 0.366, 0.366], [0.811, 0.811, 0.811], [0.136, 0.136, 0.136], [0.088, 0.088, 0.088], [0.864, 0.864, 0.864], [0.733, 0.733, 0.733], [0.267, 0.267, 0.267]]}

---

{"formula": "Hf3Al4C6", "functional": "PBE", "state": "relaxed", "delta_e_f_ev_per_atom": -0.48, "magmom_total_mub_per_atom": 0.0003, "lattice_angstrom": [[-6.007, 3.658, -14.833], [-8.410, 1.504, -14.017], [-8.667, 4.701, -13.125]], "species": ["Al", "C", "Al", "C", "Al", "C", "C", "C", "Hf", "C", "Hf", "Hf", "Al"], "fractional_positions": [[0.232, 0.232, 0.232], [0.808, 0.808, 0.808], [0.768, 0.768, 0.768], [0.918, 0.918, 0.918], [0.852, 0.852, 0.852], [0.192, 0.192, 0.192], [0.082, 0.082, 0.082], [0.306, 0.306, 0.306], [0.388, 0.388, 0.388], [0.694, 0.694, 0.694], [0.000, 0.000, 0.000], [0.612, 0.612, 0.612], [0.148, 0.148, 0.148]]}